Sr2CuH6O6: relaxed, PBE.

Cell lengths 5.816, 6.252, 9.816 Å; angles 90.00, 123.80, 90.00 degrees
Element x y z (fractional)
1 O 0.299 0.225 0.950
2 Cu 0.500 0.000 0.500
3 H 0.182 0.833 0.019
4 O 0.960 0.246 0.572
5 H 0.182 0.667 0.519
6 O 0.701 0.775 0.050
7 O 0.616 0.036 0.731
8 H 0.784 0.778 0.985
9 O 0.616 0.464 0.231
10 O 0.384 0.964 0.269
11 H 0.761 0.573 0.296
12 O 0.384 0.536 0.769
13 Sr 0.794 0.425 0.751
14 H 0.216 0.222 0.015
15 O 0.299 0.275 0.450
16 Sr 0.206 0.925 0.749
17 Sr 0.206 0.575 0.249
18 H 0.818 0.333 0.481
19 Cu 0.500 0.500 0.000
20 O 0.040 0.746 0.928
21 O 0.960 0.254 0.072
22 H 0.216 0.278 0.515
23 Sr 0.794 0.075 0.251
24 H 0.818 0.167 0.981
25 H 0.784 0.722 0.485
26 O 0.701 0.725 0.550
27 O 0.040 0.754 0.428
28 H 0.239 0.427 0.704
29 H 0.239 0.073 0.204
30 H 0.761 0.927 0.796

Properties
Its corrected total energy (MP2020 scheme) is -5.620 eV/atom.

***

Al4Si2HO9F3: relaxed, PBE.

Cell lengths 4.722, 8.491, 8.929 Å; angles 89.98, 90.00, 90.00 degrees
Element x y z (fractional)
1 O 0.295 0.749 0.968
2 Al 0.098 0.583 0.868
3 O 0.090 0.933 0.247
4 O 0.552 0.748 0.243
5 O 0.205 0.095 0.987
6 F 0.904 0.055 0.750
7 O 0.287 0.094 0.494
8 O 0.291 0.408 0.490
9 Al 0.096 0.918 0.869
10 H 0.992 0.833 0.247
11 F 0.406 0.556 0.750
12 Al 0.403 0.921 0.367
13 O 0.795 0.251 0.532
14 F 0.404 0.945 0.750
15 Al 0.405 0.583 0.371
16 O 0.209 0.408 0.988
17 O 0.791 0.592 0.010
18 O 0.463 0.251 0.757
19 Al 0.598 0.417 0.632
20 O 0.202 0.748 0.468
21 Si 0.100 0.251 0.443
22 Al 0.905 0.417 0.129
23 F 0.906 0.444 0.750
24 Si 0.397 0.251 0.939
25 F 0.599 0.442 0.253
26 O 0.709 0.592 0.512
27 H 0.492 0.167 0.253
28 Si 0.897 0.749 0.561
29 O 0.590 0.067 0.253
30 O 0.787 0.906 0.006
31 Al 0.596 0.082 0.631
32 F 0.099 0.558 0.247
33 O 0.705 0.905 0.513
34 O 0.702 0.252 0.032
35 Si 0.600 0.749 0.057
36 O 0.052 0.252 0.257
37 Al 0.903 0.079 0.133
38 O 0.963 0.749 0.743

Properties
Its corrected total energy (MP2020 scheme) is -7.494 eV/atom.

***

LaCeCo10: relaxed, PBE.

Cell lengths 4.002, 4.927, 8.551 Å; angles 90.00, 90.00, 90.00 degrees
Element x y z (fractional)
1 Co 0.000 0.000 0.844
2 Co 0.500 0.000 0.000
3 Co 0.500 0.250 0.753
4 Ce 0.000 0.500 0.000
5 Co 0.500 0.250 0.247
6 Co 0.500 0.750 0.247
7 Co 0.000 0.500 0.680
8 Co 0.500 0.500 0.500
9 Co 0.500 0.750 0.753
10 La 0.000 0.000 0.500
11 Co 0.000 0.500 0.320
12 Co 0.000 0.000 0.156

***

Number 1: total energy -160.347 eV per cell, ΔE_f -1785 meV/atom. Number 2: total energy -269.643 eV per cell, ΔE_f -3310 meV/atom. Number 3: total energy -82.760 eV per cell, ΔE_f -67 meV/atom.